Record 1
Li2InCuF6 | PBE | optimized geometry Values from VASP.

magnetization	0.07	μB/f.u.
ρ	3.376	g cm⁻³
space group	Fm-3m (225)
E	-4.251	eV per atom
crystal system	cubic
energy of formation	-23.13	eV per formula unit

```
&SYSTEM
  ibrav = 0, nat = 10, ntyp = 4
/
ATOMIC_SPECIES
Li 6.94 Li.upf
In 114.82 In.upf
Cu 63.55 Cu.upf
F 19.00 F.upf
ATOMIC_POSITIONS angstrom
Li 2.1116 2.1116 2.1116
Li 6.3347 6.3347 6.3347
In 0.0000 0.0000 0.0000
Cu 4.2232 4.2232 4.2232
F 4.2232 4.2232 2.1130
F 4.2232 2.1130 4.2232
F 6.3333 4.2232 4.2232
F 2.1130 4.2232 4.2232
F 4.2232 6.3333 4.2232
F 4.2232 4.2232 6.3333
CELL_PARAMETERS angstrom
0.0000 4.2232 4.2232
4.2232 0.0000 4.2232
4.2232 4.2232 0.0000
```

---

Record 2
CeMn8Fe4 | PBE | optimized geometry Values from VASP.

magnetization	7.23	μB/f.u.
ρ	8.023	g cm⁻³
space group	I4/mmm (139)
E	-8.644	eV per atom
crystal system	tetragonal
energy of formation	0.74	eV per formula unit

```
&SYSTEM
  ibrav = 0, nat = 13, ntyp = 3
/
ATOMIC_SPECIES
Ce 140.12 Ce.upf
Mn 54.94 Mn.upf
Fe 55.84 Fe.upf
ATOMIC_POSITIONS angstrom
Ce 0.0000 0.0000 0.0000
Mn 2.0861 2.0861 -1.1935
Mn 2.0861 -2.0861 1.1935
Mn 4.1722 2.2257 0.0000
Mn -2.0861 2.0861 1.1935
Mn 2.2257 4.1722 0.0000
Mn 2.0861 2.0861 1.1935
Mn 1.9465 0.0000 2.3869
Mn 0.0000 1.9465 2.3869
Fe 3.0216 0.0000 0.0000
Fe 5.3227 0.0000 0.0000
Fe 0.0000 3.0216 0.0000
Fe 0.0000 5.3227 0.0000
CELL_PARAMETERS angstrom
-4.1722 4.1722 2.3869
4.1722 -4.1722 2.3869
4.1722 4.1722 -2.3869
```

---

Record 3
CsNdZnTe3 | PBE | optimized geometry Values from VASP.

magnetization	0.00	μB/f.u.
ρ	5.097	g cm⁻³
space group	Cmcm (63)
E	-3.831	eV per atom
crystal system	orthorhombic
energy of formation	-7.90	eV per formula unit

```
&SYSTEM
  ibrav = 0, nat = 12, ntyp = 4
/
ATOMIC_SPECIES
Cs 132.91 Cs.upf
Nd 144.24 Nd.upf
Zn 65.41 Zn.upf
Te 127.60 Te.upf
ATOMIC_POSITIONS angstrom
Cs 2.2638 4.3969 9.0305
Cs 2.2638 -4.3969 3.0102
Nd 2.2638 0.0000 0.0000
Nd 2.2638 0.0000 6.0203
Zn 2.2638 8.0584 3.0102
Zn 2.2638 -8.0584 9.0305
Te 2.2638 6.5753 0.7874
Te 2.2638 6.5753 5.2329
Te 2.2638 1.0499 3.0102
Te 2.2638 -1.0499 9.0305
Te 2.2638 -6.5753 6.8077
Te 2.2638 -6.5753 11.2532
CELL_PARAMETERS angstrom
2.2638 -8.6702 0.0000
2.2638 8.6702 0.0000
0.0000 0.0000 12.0406
```

---

Record 4
Zr2N2O | PBE | optimized geometry Values from VASP.

magnetization	0.00	μB/f.u.
ρ	5.732	g cm⁻³
space group	P2_1/m (11)
E	-9.711	eV per atom
crystal system	monoclinic
energy of formation	-10.53	eV per formula unit

```
&SYSTEM
  ibrav = 0, nat = 10, ntyp = 3
/
ATOMIC_SPECIES
Zr 91.22 Zr.upf
N 14.01 N.upf
O 16.00 O.upf
ATOMIC_POSITIONS angstrom
Zr 0.2376 0.8739 1.4853
Zr 0.2735 0.8739 5.2401
Zr 2.4390 2.6216 3.3961
Zr 2.4749 2.6216 7.1509
N 0.2747 2.6216 3.4761
N 0.2167 2.6216 6.4693
N 2.4957 0.8739 2.1668
N 2.4377 0.8739 5.1600
O 0.7028 2.6216 0.5450
O 2.0097 0.8739 8.0911
CELL_PARAMETERS angstrom
4.3468 0.0000 0.0000
0.0000 3.4954 0.0000
-1.6344 0.0000 8.6362
```

---

Record 5
U2PtC2 | PBE | optimized geometry Values from VASP.

ρ	14.863	g cm⁻³
space group	I4/mmm (139)
E	-9.751	eV per atom
crystal system	tetragonal
energy of formation	-1.64	eV per formula unit

```
&SYSTEM
  ibrav = 0, nat = 10, ntyp = 3
/
ATOMIC_SPECIES
U 238.03 U.upf
Pt 195.08 Pt.upf
C 12.01 C.upf
ATOMIC_POSITIONS angstrom
U 0.0000 0.0000 1.8606
U 0.0000 0.0000 10.6521
U 1.7616 1.7616 4.3958
U 1.7616 1.7616 8.1169
Pt 0.0000 0.0000 6.2563
Pt 1.7616 1.7616 0.0000
C 0.0000 0.0000 4.1456
C 0.0000 0.0000 8.3670
C 1.7616 1.7616 2.1107
C 1.7616 1.7616 10.4019
CELL_PARAMETERS angstrom
3.5233 0.0000 0.0000
0.0000 3.5233 0.0000
0.0000 0.0000 12.5126
```

---

Record 6
NaMgGe3P3S3O24 | PBE | optimized geometry Values from VASP.

magnetization	0.00	μB/f.u.
ρ	3.128	g cm⁻³
space group	P1 (1)
E	-6.441	eV per atom
crystal system	triclinic
energy of formation	-77.73	eV per formula unit

```
&SYSTEM
  ibrav = 0, nat = 105, ntyp = 6
/
ATOMIC_SPECIES
Na 22.99 Na.upf
Mg 24.30 Mg.upf
Ge 72.64 Ge.upf
P 30.97 P.upf
S 32.06 S.upf
O 16.00 O.upf
ATOMIC_POSITIONS angstrom
Na 0.0000 0.0000 0.0000
Na 4.3162 7.2041 10.9217
Na 4.3472 2.3652 18.2175
Mg 4.3430 7.3254 18.6332
Mg 4.2657 7.1599 7.7515
Mg 4.3738 2.3759 21.4819
Ge 4.1335 2.3763 4.0234
Ge 4.2907 2.3595 14.9578
Ge 4.3293 2.4632 10.5476
Ge 8.4308 4.8423 11.5253
Ge 8.4439 4.7993 6.8452
Ge 8.4474 4.8144 0.5760
Ge 8.5905 4.8354 17.6414
Ge 12.4929 7.2438 3.2879
Ge 12.6364 7.3205 14.1524
P 1.3908 2.0942 16.4017
P 3.0145 5.0750 5.4862
P 1.7295 2.3348 1.8318
P 3.0953 4.5182 12.7735
P 3.0901 0.3278 12.7410
P 6.0949 4.7851 9.1688
P 6.7019 2.3969 12.7710
P 5.4316 0.2764 1.8369
P 10.2646 7.3044 16.4101
S 5.5533 5.1357 16.4051
S 6.6862 7.2359 5.4679
S 5.4297 4.5153 1.8265
S 7.3695 6.8819 20.0596
S 9.6113 6.9413 9.1671
S 7.3808 2.8224 20.0727
S 7.1694 2.1062 5.4864
S 10.9616 4.8515 20.0572
S 9.7063 2.7483 9.1642
O 0.8566 1.0726 2.1026
O 3.7573 5.9038 12.9451
O 3.6758 5.6513 6.6924
O 1.3081 1.2720 17.6587
O 2.5877 2.6672 3.0871
O 3.2797 3.6306 14.0136
O 3.3849 3.6420 20.1627
O 2.8054 2.6592 9.2890
O 2.5002 2.0362 0.5819
O 1.5634 0.1692 12.9175
O 3.7946 3.9582 11.5003
O 4.8466 5.8739 2.0236
O 2.9187 2.3159 16.1985
O 3.6497 3.6888 5.2050
O 1.7266 0.2387 6.6459
O 4.9510 5.6740 17.6156
O 5.2351 6.0184 9.0840
O 5.9161 6.9605 19.9933
O 5.3817 5.9727 15.1845
O 5.8646 6.9646 4.2406
O 3.2338 1.2291 11.4845
O 4.7972 3.9809 0.6391
O 4.9568 3.7831 16.2382
O 3.3893 1.1460 5.2833
O 5.2787 3.6711 3.0509
O 3.7755 0.8918 13.9949
O 3.8481 0.9023 20.1257
O 5.2775 3.4685 9.3057
O 7.6077 6.0624 21.3091
O 7.0332 4.9959 16.5286
O 7.0010 5.0259 10.4046
O 7.5452 6.0250 5.5964
O 4.7310 0.9522 9.3058
O 5.8594 2.6994 14.0193
O 5.9285 2.7446 20.1541
O 6.9013 4.6536 1.7020
O 7.9651 6.2608 18.8257
O 4.7887 0.8924 3.1187
O 7.9311 6.2400 12.5816
O 6.9473 4.4987 7.8728
O 5.1916 1.2719 16.1955
O 5.7157 2.2404 5.2514
O 5.8619 2.0551 11.5139
O 5.3330 1.1076 0.5938
O 8.9849 6.3579 7.9302
O 7.6052 3.6449 18.8312
O 8.9472 6.1549 1.7171
O 7.5858 3.6362 12.6138
O 9.3424 6.0537 16.5343
O 7.7979 3.4559 5.5903
O 7.9879 3.4409 21.3088
O 9.4586 6.0644 10.3654
O 6.8680 0.3003 17.6666
O 7.3763 1.2884 6.6590
O 7.5874 1.1389 12.9027
O 11.0486 7.1131 9.0407
O 6.9637 0.0715 2.0434
O 7.8592 1.5523 4.2535
O 9.8382 4.9315 5.6453
O 9.0993 3.4950 16.5335
O 11.1103 6.9743 15.1418
O 8.0304 1.5184 20.0056
O 10.1406 5.0962 21.3058
O 9.0879 3.3573 10.3727
O 9.1829 3.5792 1.7011
O 9.9582 4.6435 12.5566
O 10.1132 4.6165 18.8418
O 9.5437 3.5894 7.9237
O 11.5388 5.9783 4.2010
O 9.0940 1.4936 15.1325
O 11.7603 6.0618 19.9664
O 9.0763 1.4471 9.0205
CELL_PARAMETERS angstrom
8.3768 0.0000 0.0000
4.1744 7.2824 0.0000
0.1962 0.0602 21.8853
```

---

Record 7
Ti6Si2B | PBE | optimized geometry Values from VASP.

ρ	4.446	g cm⁻³
space group	P-62m (189)
E	-7.867	eV per atom
crystal system	hexagonal
energy of formation	-5.90	eV per formula unit

```
&SYSTEM
  ibrav = 0, nat = 9, ntyp = 3
/
ATOMIC_SPECIES
Ti 47.87 Ti.upf
Si 28.09 Si.upf
B 10.81 B.upf
ATOMIC_POSITIONS angstrom
Ti -0.8090 1.4013 0.0000
Ti -2.0371 3.5284 1.6586
Ti 1.6180 0.0000 0.0000
Ti 1.3558 2.3483 1.6586
Ti 4.0743 0.0000 1.6586
Ti 2.5839 4.4754 0.0000
Si 0.0000 3.9178 0.0000
Si 3.3929 1.9589 0.0000
B 0.0000 0.0000 1.6586
CELL_PARAMETERS angstrom
6.7858 0.0000 0.0000
-3.3929 5.8767 0.0000
0.0000 0.0000 3.3173
```

---

Record 8
Dy2SbO2 | PBE | optimized geometry Values from VASP.

ρ	8.014	g cm⁻³
space group	I4/mmm (139)
E	-7.374	eV per atom
crystal system	tetragonal
energy of formation	-15.01	eV per formula unit

```
&SYSTEM
  ibrav = 0, nat = 10, ntyp = 3
/
ATOMIC_SPECIES
Dy 162.50 Dy.upf
Sb 121.76 Sb.upf
O 16.00 O.upf
ATOMIC_POSITIONS angstrom
Dy 0.0000 0.0000 2.2171
Dy 0.0000 0.0000 11.1393
Dy 1.9270 1.9270 4.4611
Dy 1.9270 1.9270 8.8952
Sb 0.0000 0.0000 6.6782
Sb 1.9270 1.9270 0.0000
O 0.0000 1.9270 3.3391
O 0.0000 1.9270 10.0173
O 1.9270 0.0000 3.3391
O 1.9270 0.0000 10.0173
CELL_PARAMETERS angstrom
3.8540 0.0000 0.0000
0.0000 3.8540 0.0000
0.0000 0.0000 13.3564
```

---

Record 9
NdFeCu | PBE | optimized geometry Values from VASP.

magnetization	1.57	μB/f.u.
ρ	8.418	g cm⁻³
space group	Amm2 (38)
E	-5.747	eV per atom
crystal system	orthorhombic
energy of formation	0.10	eV per formula unit

```
&SYSTEM
  ibrav = 0, nat = 12, ntyp = 3
/
ATOMIC_SPECIES
Nd 144.24 Nd.upf
Fe 55.84 Fe.upf
Cu 63.55 Cu.upf
ATOMIC_POSITIONS angstrom
Nd 1.6226 0.0000 0.0000
Nd 2.7568 0.0000 6.1072
Nd 6.0255 0.0000 6.1072
Nd 7.1597 0.0000 0.0000
Fe 0.0000 0.0000 4.5629
Fe 4.3911 -1.3066 3.8265
Fe 4.3911 0.0000 1.5491
Fe 4.3911 1.3066 3.8265
Cu 0.0000 -1.2662 2.3089
Cu 0.0000 1.2662 2.3089
Cu 2.2097 0.0000 3.0893
Cu 6.5726 0.0000 3.0893
CELL_PARAMETERS angstrom
8.7823 0.0000 0.0000
0.0000 2.5782 4.5937
0.0000 -2.5782 4.5937
```

---

Record 10
Rb2CuBiCl6 | PBE | optimized geometry Values from VASP.

magnetization	0.00	μB/f.u.
ρ	3.757	g cm⁻³
space group	Fm-3m (225)
E	-3.373	eV per atom
crystal system	cubic
energy of formation	-16.37	eV per formula unit

```
&SYSTEM
  ibrav = 0, nat = 10, ntyp = 4
/
ATOMIC_SPECIES
Rb 85.47 Rb.upf
Cu 63.55 Cu.upf
Bi 208.98 Bi.upf
Cl 35.45 Cl.upf
ATOMIC_POSITIONS angstrom
Rb 2.6268 2.6268 2.6268
Rb 7.8805 7.8805 7.8805
Cu 0.0000 0.0000 0.0000
Bi 5.2537 5.2537 5.2537
Cl 5.2537 5.2537 2.5176
Cl 5.2537 2.5176 5.2537
Cl 7.9897 5.2537 5.2537
Cl 2.5176 5.2537 5.2537
Cl 5.2537 7.9897 5.2537
Cl 5.2537 5.2537 7.9897
CELL_PARAMETERS angstrom
0.0000 5.2537 5.2537
5.2537 0.0000 5.2537
5.2537 5.2537 0.0000
```

---

Record 11
Mg2Cd | PBE | optimized geometry Values from VASP.

ρ	4.016	g cm⁻³
space group	Cm (8)
E	-1.419	eV per atom
crystal system	monoclinic
energy of formation	-0.13	eV per formula unit

```
&SYSTEM
  ibrav = 0, nat = 12, ntyp = 2
/
ATOMIC_SPECIES
Mg 24.30 Mg.upf
Cd 112.41 Cd.upf
ATOMIC_POSITIONS angstrom
Mg 0.0000 0.0000 0.0000
Mg -0.3529 0.0000 4.3734
Mg 1.4110 1.6157 2.3812
Mg 2.7328 0.0000 4.7887
Mg 5.7423 1.6157 0.0000
Mg 5.3894 1.6157 4.3734
Mg 7.1533 0.0000 2.3812
Mg 8.4751 1.6157 4.7887
Cd 1.0036 1.6157 6.7561
Cd 4.0464 0.0000 2.0170
Cd 6.7459 0.0000 6.7561
Cd 9.7887 1.6157 2.0170
CELL_PARAMETERS angstrom
11.4846 0.0000 0.0000
0.0000 3.2314 0.0000
-1.6288 0.0000 7.1757
```

---

Record 12
BaIn2O4 | PBE | optimized geometry Values from VASP.

magnetization	0.00	μB/f.u.
ρ	6.618	g cm⁻³
space group	P2_1/c (14)
E	-5.753	eV per atom
crystal system	monoclinic
energy of formation	-15.80	eV per formula unit

```
&SYSTEM
  ibrav = 0, nat = 56, ntyp = 3
/
ATOMIC_SPECIES
Ba 137.33 Ba.upf
In 114.82 In.upf
O 16.00 O.upf
ATOMIC_POSITIONS angstrom
Ba -1.3570 1.4451 6.0521
Ba -3.8633 1.5198 12.9479
Ba 1.0380 4.4022 4.2652
Ba -1.4683 4.4925 11.1611
Ba 7.0330 1.4373 2.6306
Ba 4.5267 1.5276 9.5265
Ba 9.4279 4.4101 0.8438
Ba 6.9217 4.4847 7.7397
In -0.0647 1.4383 2.5691
In -2.5710 1.5266 9.4649
In 0.0317 4.4427 7.8670
In 2.5380 4.4521 0.9711
In 0.5286 1.4570 9.5705
In 3.0349 1.5079 2.6746
In 2.4594 1.4596 6.1628
In -0.0469 1.5054 13.0587
In 5.6116 4.4245 0.7331
In 3.1053 4.4703 7.6290
In 2.5298 4.4219 11.1172
In 5.0361 4.4728 4.2213
In 3.0267 1.4777 12.8206
In 5.5330 1.4872 5.9247
In 8.1357 4.4033 4.3268
In 5.6294 4.4915 11.2227
O -1.2465 0.1018 3.6990
O -3.7528 2.8631 10.5949
O -1.2803 4.1115 6.1634
O -3.7865 4.7833 13.0593
O -1.0893 0.2559 8.4761
O 1.4170 2.7090 1.5802
O -0.9941 3.0083 9.0417
O 1.5121 5.8865 2.1459
O -1.0996 1.1954 11.2771
O 1.4067 1.7695 4.3812
O -1.0250 3.4320 13.5132
O 1.4813 5.4628 6.6173
O 4.1005 0.3101 0.8989
O 1.5943 2.6548 7.7948
O 3.9066 3.5352 2.6437
O 1.4003 5.3596 9.5396
O 4.1643 0.5703 4.2521
O 1.6581 2.3947 11.1480
O 3.9704 3.2751 5.9970
O 1.4641 5.6197 12.8928
O 4.0834 0.4670 7.1744
O 6.5897 2.4979 0.2786
O 4.1580 4.1604 9.4105
O 6.6642 4.7344 2.5147
O 4.0525 0.0433 11.6459
O 6.5588 2.9216 4.7500
O 4.1477 3.2209 12.2115
O 6.6540 5.6739 5.3157
O 9.3512 1.1466 0.7325
O 6.8449 1.8184 7.6284
O 9.3174 3.0668 3.1969
O 6.8112 5.8280 10.0927
CELL_PARAMETERS angstrom
10.5772 0.0000 0.0000
0.0000 5.9299 0.0000
-5.0125 0.0000 13.7918
```

---

Record 13
TeMoWSeS2 | PBE | optimized geometry Values from VASP.

magnetization	0.00	μB/f.u.
ρ	4.998	g cm⁻³
space group	P3m1 (156)
E	-7.008	eV per atom
crystal system	trigonal
relative energy among the computed polymorphs	37	meV/atom
energy of formation	-4.34	eV per formula unit

```
&SYSTEM
  ibrav = 0, nat = 12, ntyp = 5
/
ATOMIC_SPECIES
Te 127.60 Te.upf
Mo 95.94 Mo.upf
W 183.84 W.upf
Se 78.96 Se.upf
S 32.06 S.upf
ATOMIC_POSITIONS angstrom
Te 0.0000 0.0000 0.0000
Te 0.0000 0.0000 3.8490
Mo 0.0000 0.0000 9.1781
Mo 0.0000 0.0000 33.2539
W 0.0000 1.9089 1.9252
W 0.0000 1.9089 16.4270
Se 0.0000 1.9089 31.5725
Se 0.0000 1.9089 34.9351
S 0.0000 0.0000 14.8924
S 0.0000 0.0000 17.9608
S 0.0000 1.9089 7.6503
S 0.0000 1.9089 10.7034
CELL_PARAMETERS angstrom
3.3062 0.0000 0.0000
-1.6531 2.8633 0.0000
0.0000 0.0000 38.6414
```

---

Record 14
Cs4CuSi2O7 | PBE | optimized geometry Values from VASP.

ρ	4.205	g cm⁻³
space group	P-1 (2)
E	-5.835	eV per atom
crystal system	triclinic
energy of formation	-33.34	eV per formula unit

```
&SYSTEM
  ibrav = 0, nat = 14, ntyp = 4
/
ATOMIC_SPECIES
Cs 132.91 Cs.upf
Cu 63.55 Cu.upf
Si 28.09 Si.upf
O 16.00 O.upf
ATOMIC_POSITIONS angstrom
Cs -0.9641 1.7603 1.7548
Cs -1.2510 -0.8018 4.9341
Cs 2.6981 4.7345 1.4417
Cs 2.4112 2.1724 4.6210
Cu 1.9742 -1.6052 3.1879
Si -0.9904 3.6766 4.9634
Si 2.4375 0.2561 1.4124
O -1.9187 4.1976 3.6749
O -1.3251 6.3182 1.5158
O -0.5814 2.1144 4.8849
O 3.3090 0.0000 0.0000
O 2.0285 1.8182 1.4909
O 2.7722 -2.3855 4.8600
O 3.3658 -0.2650 2.7009
CELL_PARAMETERS angstrom
6.6181 0.0000 0.0000
-2.5014 7.1431 0.0000
-2.6696 -3.2104 6.3758
```